Record 1
A relaxed U3O8 crystal, computed with PBE-GGA.

Unit cell a=6.780 b=6.780 c=4.160 alpha=90.00 beta=90.00 gamma=117.70
Sites, in units of the cell vectors:
O 0.962 0.668 0.000
O 0.038 0.332 0.000
O 0.000 0.000 0.500
U 0.319 0.681 0.000
U 0.681 0.319 0.000
U 0.000 0.000 0.000
O 0.668 0.962 0.000
O 0.500 0.500 0.000
O 0.684 0.316 0.500
O 0.332 0.038 0.000
O 0.316 0.684 0.500

ΔE_f = -3.70 eV per atom


Record 2
A relaxed Ba2ZnOsO6 crystal, computed with PBE-GGA.

Unit cell a=5.793 b=5.793 c=5.793 alpha=60.00 beta=60.00 gamma=60.00
Sites, in units of the cell vectors:
O 0.238 0.762 0.238
O 0.238 0.238 0.762
O 0.762 0.238 0.238
O 0.238 0.762 0.762
Zn 0.500 0.500 0.500
Os 0.000 0.000 0.000
O 0.762 0.762 0.238
O 0.762 0.238 0.762
Ba 0.250 0.250 0.250
Ba 0.750 0.750 0.750

ΔE_f = -2.30 eV per atom


Record 3
A relaxed Pr4MgCo crystal, computed with PBE-GGA.

Unit cell a=10.051 b=10.051 c=10.051 alpha=60.00 beta=60.00 gamma=60.00
Sites, in units of the cell vectors:
Mg 0.671 0.986 0.671
Pr 0.438 0.438 0.062
Co 0.109 0.109 0.672
Pr 0.905 0.285 0.905
Pr 0.311 0.311 0.689
Pr 0.311 0.689 0.689
Pr 0.311 0.689 0.311
Pr 0.285 0.905 0.905
Co 0.109 0.109 0.109
Pr 0.689 0.311 0.689
Pr 0.062 0.438 0.438
Co 0.109 0.672 0.109
Mg 0.671 0.671 0.671
Pr 0.689 0.311 0.311
Pr 0.438 0.062 0.438
Mg 0.671 0.671 0.986
Pr 0.689 0.689 0.311
Pr 0.905 0.905 0.905
Pr 0.438 0.062 0.062
Co 0.672 0.109 0.109
Pr 0.905 0.905 0.285
Pr 0.062 0.438 0.062
Mg 0.986 0.671 0.671
Pr 0.062 0.062 0.438

ΔE_f = -0.08 eV per atom


Record 4
A relaxed ErTaO4 crystal, computed with PBE-GGA.

Unit cell a=5.490 b=5.123 c=5.310 alpha=83.63 beta=90.00 gamma=90.00
Sites, in units of the cell vectors:
O 0.084 0.752 0.598
Ta 0.695 0.500 0.250
O 0.565 0.733 0.496
O 0.435 0.733 0.996
O 0.916 0.248 0.402
O 0.084 0.248 0.902
O 0.565 0.267 0.004
Er 0.768 0.000 0.750
O 0.916 0.752 0.098
Ta 0.305 0.500 0.750
O 0.435 0.267 0.504
Er 0.232 0.000 0.250

ΔE_f = -3.74 eV per atom